No. 1
A plane-wave DFT calculation with PBE+U was carried out for a relaxed structure of Li24Mn11CrO36.

Values from the calculation:
formation enthalpy at 0 K: -2.1840 eV per atom
electronic total energy: -6.202 eV per atom
mass density: 3.732 Mg/m³

The structure in CIF format:
```
data_Li24Mn11CrO36
_cell_length_a 15.017
_cell_length_b 8.646
_cell_length_c 10.167
_cell_angle_alpha 90.00
_cell_angle_beta 109.44
_cell_angle_gamma 90.00
_symmetry_space_group_name_H-M 'C 1 2 1'
_symmetry_Int_Tables_number 5
_symmetry_space_group_name_Hall 'C 2y'
loop_
_atom_site_label
_atom_site_type_symbol
_atom_site_fract_x
_atom_site_fract_y
_atom_site_fract_z
Li1 Li 0.000 0.000 0.000
Li2 Li 0.000 0.001 0.500
Li3 Li 0.000 0.163 0.250
Li4 Li 0.000 0.500 0.250
Li5 Li 0.001 0.837 0.249
Li6 Li 0.166 0.337 0.750
Li7 Li 0.166 0.500 0.500
Li8 Li 0.166 0.663 0.251
Li9 Li 0.167 0.000 0.250
Li10 Li 0.167 0.000 0.750
Li11 Li 0.167 0.337 0.249
Li12 Li 0.167 0.500 0.000
Li13 Li 0.167 0.662 0.750
Mn1 Mn 0.000 0.333 0.000
Mn2 Mn 0.000 0.333 0.500
Mn3 Mn 0.000 0.667 0.000
Mn4 Mn 0.167 0.167 0.000
Mn5 Mn 0.167 0.167 0.500
Mn6 Mn 0.167 0.833 0.000
Mn7 Mn 0.167 0.833 0.499
Cr1 Cr 0.000 0.670 0.500
O1 O 0.072 0.499 0.614
O2 O 0.073 0.500 0.114
O3 O 0.082 0.321 0.388
O4 O 0.082 0.321 0.888
O5 O 0.082 0.678 0.888
O6 O 0.084 0.679 0.387
O7 O 0.085 0.178 0.112
O8 O 0.085 0.178 0.612
O9 O 0.085 0.820 0.612
O10 O 0.085 0.822 0.112
O11 O 0.093 0.000 0.386
O12 O 0.094 0.000 0.886
O13 O 0.240 0.000 0.114
O14 O 0.240 0.000 0.614
O15 O 0.249 0.178 0.388
O16 O 0.249 0.178 0.888
O17 O 0.249 0.821 0.888
O18 O 0.249 0.822 0.388
```


No. 2
A plane-wave DFT calculation with PBE+U was carried out for a relaxed structure of Li24Mn5Cr7O36.

Values from the calculation:
formation enthalpy at 0 K: -2.2094 eV per atom
electronic total energy: -6.241 eV per atom
mass density: 3.643 Mg/m³

The structure in CIF format:
```
data_Li24Mn5Cr7O36
_cell_length_a 5.017
_cell_length_b 9.734
_cell_length_c 13.296
_cell_angle_alpha 97.16
_cell_angle_beta 100.60
_cell_angle_gamma 94.75
_symmetry_space_group_name_H-M 'P 1'
_symmetry_Int_Tables_number 1
_symmetry_space_group_name_Hall 'P 1'
loop_
_atom_site_label
_atom_site_type_symbol
_atom_site_fract_x
_atom_site_fract_y
_atom_site_fract_z
Li1 Li 0.000 0.000 0.000
Li2 Li 0.000 0.500 0.498
Li3 Li 0.121 0.501 0.719
Li4 Li 0.123 0.999 0.220
Li5 Li 0.241 0.001 0.438
Li6 Li 0.241 0.501 0.941
Li7 Li 0.287 0.751 0.302
Li8 Li 0.293 0.251 0.802
Li9 Li 0.338 0.499 0.165
Li10 Li 0.339 0.002 0.668
Li11 Li 0.453 0.001 0.886
Li12 Li 0.455 0.500 0.386
Li13 Li 0.575 0.002 0.107
Li14 Li 0.575 0.500 0.607
Li15 Li 0.622 0.250 0.469
Li16 Li 0.625 0.750 0.970
Li17 Li 0.670 0.000 0.332
Li18 Li 0.670 0.501 0.833
Li19 Li 0.789 0.002 0.553
Li20 Li 0.789 0.501 0.052
Li21 Li 0.904 0.000 0.772
Li22 Li 0.905 0.502 0.274
Li23 Li 0.955 0.251 0.135
Li24 Li 0.956 0.751 0.637
Mn1 Mn 0.064 0.750 0.859
Mn2 Mn 0.401 0.252 0.026
Mn3 Mn 0.510 0.250 0.246
Mn4 Mn 0.731 0.250 0.692
Mn5 Mn 0.737 0.754 0.192
Cr1 Cr 0.060 0.249 0.355
Cr2 Cr 0.180 0.252 0.579
Cr3 Cr 0.185 0.750 0.080
Cr4 Cr 0.396 0.748 0.527
Cr5 Cr 0.516 0.751 0.750
Cr6 Cr 0.839 0.750 0.412
Cr7 Cr 0.851 0.250 0.913
O1 O 0.024 0.136 0.672
O2 O 0.024 0.637 0.170
O3 O 0.101 0.862 0.527
O4 O 0.105 0.365 0.031
O5 O 0.140 0.637 0.408
O6 O 0.143 0.139 0.912
O7 O 0.214 0.865 0.768
O8 O 0.219 0.364 0.268
O9 O 0.282 0.362 0.481
O10 O 0.284 0.862 0.982
O11 O 0.287 0.139 0.124
O12 O 0.289 0.638 0.624
O13 O 0.357 0.637 0.837
O14 O 0.363 0.136 0.337
O15 O 0.435 0.364 0.698
O16 O 0.436 0.863 0.197
O17 O 0.477 0.139 0.577
O18 O 0.478 0.639 0.077
O19 O 0.553 0.364 0.935
O20 O 0.558 0.865 0.434
O21 O 0.618 0.137 0.789
O22 O 0.618 0.863 0.650
O23 O 0.623 0.640 0.291
O24 O 0.625 0.362 0.148
O25 O 0.683 0.635 0.504
O26 O 0.690 0.136 0.004
O27 O 0.758 0.363 0.361
O28 O 0.767 0.863 0.863
O29 O 0.811 0.139 0.243
O30 O 0.815 0.639 0.743
O31 O 0.883 0.865 0.101
O32 O 0.886 0.364 0.602
O33 O 0.951 0.637 0.955
O34 O 0.952 0.362 0.816
O35 O 0.958 0.138 0.456
O36 O 0.959 0.864 0.313
```


No. 3
A plane-wave DFT calculation with PBE+U was carried out for a relaxed structure of LiMn3CrO8.

Values from the calculation:
formation enthalpy at 0 K: -2.0219 eV per atom
electronic total energy: -7.109 eV per atom
maximum piezoelectric response: 0.2 C/m2
mass density: 4.087 Mg/m³
ΔE to the lowest computed polymorph: 0.000 eV/atom

The structure in CIF format:
```
data_LiMn3CrO8
_cell_length_a 5.8336
_cell_length_b 5.8336
_cell_length_c 14.5492
_cell_angle_alpha 90.00
_cell_angle_beta 90.00
_cell_angle_gamma 120.00
_symmetry_space_group_name_H-M 'R 3 m'
_symmetry_Int_Tables_number 160
_symmetry_space_group_name_Hall 'R 3 -2"'
loop_
_atom_site_label
_atom_site_type_symbol
_atom_site_fract_x
_atom_site_fract_y
_atom_site_fract_z
Li1 Li 0.0000 0.0000 0.0000
Mn1 Mn 0.1679 0.3358 0.2100
Cr1 Cr 0.0000 0.0000 0.3777
O1 O 0.0000 0.0000 0.1402
O2 O 0.0000 0.0000 0.6121
O3 O 0.0366 0.5183 0.1356
O4 O 0.1834 0.3669 0.9530
```


No. 4
A plane-wave DFT calculation with PBE+U was carried out for a relaxed structure of Li24Mn5Cr7O36.

Values from the calculation:
formation enthalpy at 0 K: -2.2091 eV per atom
electronic total energy: -6.240 eV per atom
mass density: 3.628 Mg/m³

The structure in CIF format:
```
data_Li24Mn5Cr7O36
_cell_length_a 5.012
_cell_length_b 5.025
_cell_length_c 28.877
_cell_angle_alpha 90.18
_cell_angle_beta 90.41
_cell_angle_gamma 119.62
_symmetry_space_group_name_H-M 'P 1'
_symmetry_Int_Tables_number 1
_symmetry_space_group_name_Hall 'P 1'
loop_
_atom_site_label
_atom_site_type_symbol
_atom_site_fract_x
_atom_site_fract_y
_atom_site_fract_z
Li1 Li 0.000 0.000 0.000
Li2 Li 0.000 0.323 0.917
Li3 Li 0.005 0.333 0.417
Li4 Li 0.321 0.999 0.417
Li5 Li 0.323 0.006 0.916
Li6 Li 0.325 0.328 0.833
Li7 Li 0.327 0.327 0.083
Li8 Li 0.330 0.331 0.583
Li9 Li 0.330 0.655 0.250
Li10 Li 0.331 0.334 0.333
Li11 Li 0.331 0.659 0.750
Li12 Li 0.657 0.335 0.750
Li13 Li 0.662 0.342 0.250
Li14 Li 0.662 0.663 0.417
Li15 Li 0.663 0.664 0.917
Li16 Li 0.665 0.662 0.667
Li17 Li 0.666 0.665 0.167
Li18 Li 0.666 0.992 0.583
Li19 Li 0.672 0.001 0.083
Li20 Li 0.987 0.667 0.084
Li21 Li 0.989 0.672 0.583
Li22 Li 0.993 0.995 0.250
Li23 Li 0.996 0.995 0.500
Li24 Li 0.998 0.000 0.750
Mn1 Mn 0.328 0.665 0.500
Mn2 Mn 0.661 0.997 0.833
Mn3 Mn 0.663 0.332 0.000
Mn4 Mn 0.995 0.332 0.667
Mn5 Mn 0.996 0.332 0.167
Cr1 Cr 0.000 0.666 0.333
Cr2 Cr 0.332 0.994 0.667
Cr3 Cr 0.334 0.670 0.000
Cr4 Cr 0.335 0.996 0.167
Cr5 Cr 0.664 0.006 0.333
Cr6 Cr 0.664 0.326 0.500
Cr7 Cr 0.992 0.658 0.833
O1 O 0.001 0.645 0.462
O2 O 0.015 0.659 0.704
O3 O 0.016 0.659 0.204
O4 O 0.018 0.023 0.129
O5 O 0.021 0.024 0.629
O6 O 0.301 0.666 0.630
O7 O 0.301 0.667 0.130
O8 O 0.302 0.303 0.204
O9 O 0.304 0.306 0.705
O10 O 0.328 0.687 0.371
O11 O 0.328 0.694 0.871
O12 O 0.331 0.975 0.796
O13 O 0.332 0.971 0.296
O14 O 0.349 0.993 0.538
O15 O 0.354 0.351 0.962
O16 O 0.355 0.357 0.462
O17 O 0.356 0.006 0.038
O18 O 0.632 0.638 0.038
O19 O 0.633 0.995 0.963
O20 O 0.635 0.998 0.463
O21 O 0.637 0.640 0.538
O22 O 0.661 0.025 0.704
O23 O 0.663 0.025 0.204
O24 O 0.667 0.311 0.129
O25 O 0.668 0.311 0.629
O26 O 0.683 0.685 0.295
O27 O 0.687 0.331 0.871
O28 O 0.688 0.331 0.371
O29 O 0.692 0.692 0.795
O30 O 0.967 0.970 0.371
O31 O 0.969 0.325 0.796
O32 O 0.970 0.334 0.296
O33 O 0.970 0.977 0.872
O34 O 0.994 0.636 0.963
O35 O 0.995 0.360 0.537
O36 O 0.996 0.357 0.037
```


No. 5
A plane-wave DFT calculation with PBE+U was carried out for a relaxed structure of Li5Mn3CrP4O16.

Values from the calculation:
formation enthalpy at 0 K: -2.5127 eV per atom
electronic total energy: -6.979 eV per atom
mass density: 3.178 Mg/m³

The structure in CIF format:
```
data_Li5Mn3CrP4O16
_cell_length_a 4.881
_cell_length_b 6.390
_cell_length_c 10.589
_cell_angle_alpha 92.24
_cell_angle_beta 91.61
_cell_angle_gamma 90.30
_symmetry_space_group_name_H-M 'P 1'
_symmetry_Int_Tables_number 1
_symmetry_space_group_name_Hall 'P 1'
loop_
_atom_site_label
_atom_site_type_symbol
_atom_site_fract_x
_atom_site_fract_y
_atom_site_fract_z
Li1 Li 0.000 0.000 0.000
Li2 Li 0.005 0.485 0.003
Li3 Li 0.388 0.516 0.620
Li4 Li 0.470 0.016 0.504
Li5 Li 0.629 0.443 0.359
Mn1 Mn 0.462 0.221 0.796
Mn2 Mn 0.533 0.765 0.210
Mn3 Mn 0.941 0.759 0.718
Cr1 Cr 0.103 0.222 0.284
P1 P 0.112 0.731 0.405
P2 P 0.405 0.737 0.901
P3 P 0.589 0.245 0.089
P4 P 0.888 0.245 0.598
O1 O 0.196 0.747 0.550
O2 O 0.205 0.241 0.612
O3 O 0.251 0.538 0.342
O4 O 0.251 0.922 0.345
O5 O 0.267 0.931 0.838
O6 O 0.276 0.237 0.072
O7 O 0.287 0.727 0.036
O8 O 0.289 0.545 0.819
O9 O 0.697 0.443 0.168
O10 O 0.713 0.046 0.150
O11 O 0.721 0.750 0.900
O12 O 0.726 0.254 0.956
O13 O 0.755 0.054 0.667
O14 O 0.767 0.446 0.666
O15 O 0.780 0.229 0.460
O16 O 0.797 0.726 0.387
```


No. 6
A plane-wave DFT calculation with PBE+U was carried out for a relaxed structure of Li8Mn7CrP12O48.

Values from the calculation:
formation enthalpy at 0 K: -2.4825 eV per atom
electronic total energy: -7.020 eV per atom
mass density: 3.004 Mg/m³

The structure in CIF format:
```
data_Li8Mn7CrP12O48
_cell_length_a 8.563
_cell_length_b 8.799
_cell_length_c 11.972
_cell_angle_alpha 89.77
_cell_angle_beta 89.92
_cell_angle_gamma 89.97
_symmetry_space_group_name_H-M 'P 1'
_symmetry_Int_Tables_number 1
_symmetry_space_group_name_Hall 'P 1'
loop_
_atom_site_label
_atom_site_type_symbol
_atom_site_fract_x
_atom_site_fract_y
_atom_site_fract_z
Li1 Li 0.000 0.000 0.000
Li2 Li 0.000 0.056 0.360
Li3 Li 0.067 0.501 0.860
Li4 Li 0.067 0.557 0.499
Li5 Li 0.499 0.001 0.860
Li6 Li 0.499 0.056 0.500
Li7 Li 0.567 0.558 0.361
Li8 Li 0.568 0.501 0.998
Mn1 Mn 0.031 0.815 0.794
Mn2 Mn 0.032 0.242 0.566
Mn3 Mn 0.035 0.315 0.065
Mn4 Mn 0.530 0.241 0.293
Mn5 Mn 0.532 0.814 0.066
Mn6 Mn 0.534 0.315 0.793
Mn7 Mn 0.534 0.743 0.566
Cr1 Cr 0.035 0.742 0.296
P1 P 0.177 0.173 0.827
P2 P 0.177 0.884 0.535
P3 P 0.248 0.028 0.180
P4 P 0.320 0.526 0.180
P5 P 0.389 0.385 0.532
P6 P 0.389 0.673 0.827
P7 P 0.677 0.173 0.033
P8 P 0.677 0.887 0.325
P9 P 0.747 0.029 0.679
P10 P 0.818 0.529 0.680
P11 P 0.889 0.384 0.326
P12 P 0.889 0.673 0.032
O1 O 0.105 0.295 0.906
O2 O 0.106 0.764 0.456
O3 O 0.123 0.047 0.500
O4 O 0.125 0.012 0.861
O5 O 0.127 0.217 0.708
O6 O 0.129 0.844 0.654
O7 O 0.139 0.940 0.261
O8 O 0.141 0.115 0.098
O9 O 0.208 0.382 0.521
O10 O 0.209 0.674 0.838
O11 O 0.227 0.634 0.253
O12 O 0.228 0.419 0.104
O13 O 0.342 0.137 0.256
O14 O 0.342 0.921 0.105
O15 O 0.358 0.176 0.837
O16 O 0.358 0.883 0.524
O17 O 0.428 0.436 0.263
O18 O 0.430 0.612 0.099
O19 O 0.439 0.340 0.650
O20 O 0.439 0.717 0.709
O21 O 0.441 0.544 0.498
O22 O 0.442 0.512 0.860
O23 O 0.461 0.794 0.906
O24 O 0.462 0.262 0.453
O25 O 0.604 0.767 0.406
O26 O 0.605 0.294 0.954
O27 O 0.621 0.050 0.358
O28 O 0.624 0.012 0.999
O29 O 0.628 0.217 0.152
O30 O 0.628 0.842 0.207
O31 O 0.641 0.115 0.763
O32 O 0.641 0.945 0.597
O33 O 0.707 0.381 0.336
O34 O 0.708 0.675 0.021
O35 O 0.725 0.420 0.755
O36 O 0.725 0.636 0.604
O37 O 0.840 0.922 0.756
O38 O 0.842 0.137 0.603
O39 O 0.856 0.885 0.337
O40 O 0.858 0.175 0.023
O41 O 0.927 0.441 0.597
O42 O 0.927 0.615 0.761
O43 O 0.939 0.340 0.208
O44 O 0.940 0.716 0.149
O45 O 0.941 0.512 0.998
O46 O 0.942 0.546 0.359
O47 O 0.961 0.263 0.406
O48 O 0.962 0.794 0.952
```


No. 7
A plane-wave DFT calculation with PBE+U was carried out for a relaxed structure of Li4MnCr3P4O16.

Values from the calculation:
formation enthalpy at 0 K: -2.5824 eV per atom
electronic total energy: -7.151 eV per atom
mass density: 3.295 Mg/m³

The structure in CIF format:
```
data_Li4MnCr3P4O16
_cell_length_a 4.779
_cell_length_b 6.316
_cell_length_c 10.327
_cell_angle_alpha 90.00
_cell_angle_beta 90.65
_cell_angle_gamma 90.00
_symmetry_space_group_name_H-M 'P 1 m 1'
_symmetry_Int_Tables_number 6
_symmetry_space_group_name_Hall 'P -2y'
loop_
_atom_site_label
_atom_site_type_symbol
_atom_site_fract_x
_atom_site_fract_y
_atom_site_fract_z
Li1 Li 0.000 0.248 0.000
Li2 Li 0.504 0.249 0.497
Mn1 Mn 0.531 0.000 0.781
Cr1 Cr 0.051 0.500 0.714
Cr2 Cr 0.449 0.500 0.214
Cr3 Cr 0.952 0.000 0.283
P1 P 0.083 0.000 0.590
P2 P 0.414 0.000 0.095
P3 P 0.585 0.500 0.905
P4 P 0.920 0.500 0.404
O1 O 0.201 0.000 0.449
O2 O 0.217 0.195 0.660
O3 O 0.244 0.500 0.398
O4 O 0.260 0.500 0.896
O5 O 0.286 0.198 0.163
O6 O 0.293 0.000 0.954
O7 O 0.694 0.500 0.048
O8 O 0.715 0.301 0.839
O9 O 0.739 0.000 0.100
O10 O 0.761 0.000 0.592
O11 O 0.787 0.302 0.338
O12 O 0.811 0.500 0.547
```


No. 8
A plane-wave DFT calculation with PBE+U was carried out for a relaxed structure of Li8Mn3CrP6O24.

Values from the calculation:
formation enthalpy at 0 K: -2.6233 eV per atom
electronic total energy: -6.913 eV per atom
mass density: 2.851 Mg/m³
ΔE to the lowest computed polymorph: 0.000 eV/atom

The structure in CIF format:
```
data_Li8Mn3CrP6O24
_cell_length_a 8.406
_cell_length_b 8.455
_cell_length_c 9.266
_cell_angle_alpha 91.02
_cell_angle_beta 116.31
_cell_angle_gamma 119.37
_symmetry_space_group_name_H-M 'P 1'
_symmetry_Int_Tables_number 1
_symmetry_space_group_name_Hall 'P 1'
loop_
_atom_site_label
_atom_site_type_symbol
_atom_site_fract_x
_atom_site_fract_y
_atom_site_fract_z
Li1 Li 0.000 0.000 0.000
Li2 Li 0.033 0.259 0.505
Li3 Li 0.305 0.147 0.310
Li4 Li 0.342 0.408 0.819
Li5 Li 0.474 0.937 0.545
Li6 Li 0.598 0.864 0.262
Li7 Li 0.740 0.541 0.553
Li8 Li 0.866 0.468 0.276
Mn1 Mn 0.386 0.055 0.971
Mn2 Mn 0.959 0.353 0.845
Mn3 Mn 0.981 0.852 0.377
Cr1 Cr 0.358 0.553 0.441
P1 P 0.163 0.749 0.164
P2 P 0.177 0.653 0.656
P3 P 0.456 0.255 0.653
P4 P 0.478 0.457 0.171
P5 P 0.861 0.946 0.646
P6 P 0.888 0.157 0.161
O1 O 0.004 0.707 0.227
O2 O 0.034 0.357 0.303
O3 O 0.048 0.596 0.004
O4 O 0.052 0.993 0.816
O5 O 0.102 0.452 0.682
O6 O 0.248 0.951 0.143
O7 O 0.286 0.409 0.001
O8 O 0.288 0.806 0.817
O9 O 0.311 0.055 0.513
O10 O 0.334 0.699 0.592
O11 O 0.353 0.373 0.590
O12 O 0.362 0.754 0.310
O13 O 0.418 0.414 0.312
O14 O 0.462 0.237 0.819
O15 O 0.562 0.334 0.161
O16 O 0.655 0.674 0.229
O17 O 0.672 0.351 0.665
O18 O 0.675 0.059 0.155
O19 O 0.681 0.731 0.586
O20 O 0.779 0.071 0.653
O21 O 0.870 0.175 0.992
O22 O 0.923 0.989 0.504
O23 O 0.974 0.637 0.511
O24 O 0.994 0.043 0.219
```